Computed, not measured: a relaxed structure of SrHfS3 at the r²SCAN level of DFT.

**Formation energy**: -1001 kJ/mol of formula units
**SG**: Pnma

a b c (Å): 6.730 7.082 9.741
angles (deg): 90.00 90.00 90.00
Fractional positions:
S1 0.907 0.017 0.250
S2 0.306 0.198 0.453
S3 0.806 0.302 0.547
S4 0.694 0.802 0.953
S5 0.194 0.698 0.453
S6 0.694 0.802 0.547
S7 0.407 0.483 0.750
S8 0.194 0.698 0.047
S9 0.093 0.983 0.750
S10 0.306 0.198 0.047
S11 0.593 0.517 0.250
S12 0.806 0.302 0.953
Sr1 0.977 0.577 0.750
Sr2 0.523 0.077 0.750
Sr3 0.477 0.923 0.250
Sr4 0.023 0.423 0.250
Hf1 0.500 0.500 0.000
Hf2 0.000 0.000 0.000
Hf3 0.000 0.000 0.500
Hf4 0.500 0.500 0.500